Li2Si | Materials Project | r2SCAN | optimized geometry; energy of formation from the pure elements = -247.0 meV/atom; space-group type = R-3m (166); volume = 16.7 Å³ per atom; size of the total moment = 0.00 μB/atom
1.0
2.171 1.253 6.132
-2.171 1.253 6.132
0.000 -2.507 6.132
Li Si
4 2
Direct
0.141 0.141 0.141
0.295 0.295 0.295
0.705 0.705 0.705
0.859 0.859 0.859
0.439 0.439 0.439
0.561 0.561 0.561